1.
DFT (GGA+U) results for crystalline Na2V2O5 at its relaxed geometry.

a = 8.2181 Å, b = 8.2181 Å, c = 8.2181 Å
α = 56.73°, β = 139.89°, γ = 141.60°
Closest atoms and distances in Å follow each position.
Element x y z (fractional)
Na 0.0296 0.1073 0.1369  7 O 2.34-2.62
Na 0.0296 0.3927 0.4223  7 O 2.34-2.62
Na 0.9704 0.6073 0.5777  7 O 2.34-2.62
Na 0.9704 0.8927 0.8631  7 O 2.34-2.62
V 0.4702 0.7912 0.1790  4 O 1.78-1.89
V 0.5042 0.0042 0.5000  2 O 1.82
V 0.5042 0.5042 0.0000  2 O 1.82
V 0.6121 0.2912 0.8210  4 O 1.78-1.89
O 0.0164 0.6346 0.8818  2 V 1.88-1.89
O 0.4159 0.1155 0.5821  1 V 1.78
O 0.4159 0.3339 0.8004  1 V 1.78
O 0.4679 0.2043 0.2391  1 V 1.82
O 0.4679 0.7287 0.7635  1 V 1.82
O 0.5335 0.6155 0.1996  1 V 1.78
O 0.5335 0.8339 0.4179  1 V 1.78
O 0.7529 0.1346 0.1182  2 V 1.88-1.89
O 0.9652 0.2287 0.7609  1 V 1.82
O 0.9652 0.7043 0.2365  1 V 1.82

2.
DFT (GGA+U) results for crystalline Li6Fe5CuO12 at its relaxed geometry.

a = 5.1740 Å, b = 5.1740 Å, c = 10.1611 Å
α = 90.19°, β = 90.19°, γ = 120.20°
Closest atoms and distances in Å follow each position.
Element x y z (fractional)
Li 0.0153 0.3370 0.2748  4 O 1.92-2.10
Li 0.3059 0.3059 0.7218  4 O 1.93-2.03
Li 0.3370 0.0153 0.2748  4 O 1.92-2.10
Li 0.6630 0.9847 0.7252  4 O 1.92-2.10
Li 0.6941 0.6941 0.2782  4 O 1.93-2.03
Li 0.9847 0.6630 0.7252  4 O 1.92-2.10
Fe 0.1675 0.8325 0.0000  6 O 1.96-2.04
Fe 0.3365 0.6635 0.5000  6 O 2.03-2.09
Fe 0.5000 0.5000 0.0000  6 O 2.03-2.06
Fe 0.6635 0.3365 0.5000  6 O 2.03-2.09
Fe 0.8325 0.1675 0.0000  6 O 1.96-2.04
Cu 0.0000 0.0000 0.5000  6 O 2.06-2.25
O 0.0079 0.6707 0.3890  3 Li 2.03-2.10, 2 Fe 2.05-2.09, 1 Cu 2.06
O 0.1561 0.1561 0.8949  1 Li 1.93, 3 Fe 2.01-2.06
O 0.1586 0.4898 0.1018  1 Li 1.92, 3 Fe 1.96-2.04
O 0.3293 0.9921 0.6110  3 Li 2.03-2.10, 2 Fe 2.05-2.09, 1 Cu 2.06
O 0.3646 0.3646 0.3792  3 Li 1.99-2.03, 2 Fe 2.03
O 0.4898 0.1586 0.1018  1 Li 1.92, 3 Fe 1.96-2.04
O 0.5102 0.8414 0.8982  1 Li 1.92, 3 Fe 1.96-2.04
O 0.6354 0.6354 0.6208  3 Li 1.99-2.03, 2 Fe 2.03
O 0.6707 0.0079 0.3890  3 Li 2.03-2.10, 2 Fe 2.05-2.09, 1 Cu 2.06
O 0.8414 0.5102 0.8982  1 Li 1.92, 3 Fe 1.96-2.04
O 0.8439 0.8439 0.1051  1 Li 1.93, 3 Fe 2.01-2.06
O 0.9921 0.3293 0.6110  3 Li 2.03-2.10, 2 Fe 2.05-2.09, 1 Cu 2.06

3.
DFT (GGA+U) results for crystalline Li9Mn2Co5O16 at its relaxed geometry.

## Properties
The value obtained for the relative energy among the computed polymorphs is 4.6 kJ per mole of atoms.

a = 2.9375 Å, b = 9.7934 Å, c = 10.1963 Å
α = 79.07°, β = 88.89°, γ = 87.53°
Closest atoms and distances in Å follow each position.
Element x y z (fractional)
Li 0.0000 0.0000 0.0000  6 O 2.06-2.19
Li 0.9998 0.4985 0.2541  5 O 2.01-2.21
Li 0.0080 0.7528 0.3813  6 O 2.02-2.26
Li 0.4851 0.7454 0.1292  6 O 2.11-2.32
Li 0.4903 0.7517 0.6135  6 O 2.12-2.25
Li 0.4971 0.2505 0.8735  6 O 2.07-2.24
Li 0.5006 0.2517 0.3777  5 O 2.07-2.14
Li 0.9825 0.9906 0.4969  5 O 2.01-2.15
Li 0.9964 0.4997 0.7463  6 O 2.03-2.20
Mn 0.4922 0.9998 0.7475  4 O 1.94-2.02
Mn 0.4932 0.9922 0.2566  5 O 1.82-1.99
Co 0.4890 0.4975 0.0005  6 O 1.98-2.11
Co 0.4976 0.5092 0.4924  2 O 1.75-1.87
Co 0.9893 0.7482 0.8741  6 O 1.95-2.13
Co 0.9904 0.2473 0.1230  6 O 1.89-2.07
Co 0.9984 0.2526 0.6210  6 O 1.96-2.09
O 0.0100 0.8898 0.1930  2 Mn 1.95-1.96, 3 Li 2.06-2.12
O 0.0266 0.6131 0.5581  2 Co 1.87-2.08, 2 Li 2.03-2.05
O 0.0337 0.1282 0.8038  1 Mn 1.96, 1 Co 2.03, 3 Li 2.07-2.15
O 0.4712 0.1296 0.0763  2 Co 1.90-2.07, 1 Mn 2.06
O 0.4825 0.6286 0.8234  3 Co 1.95-2.07, 1 Li 2.16
O 0.4941 0.1283 0.5712  2 Co 1.98-2.09, 1 Mn 1.99, 2 Li 2.11-2.15
O 0.4937 0.6064 0.3299  1 Co 1.75
O 0.4976 0.3797 0.6670  3 Co 1.98-2.08, 2 Li 2.09-2.18
O 0.4980 0.8841 0.4233  1 Mn 1.82, 3 Li 2.01-2.04
O 0.5053 0.8726 0.9284  2 Co 1.97-2.13, 1 Mn 2.02, 3 Li 2.11-2.19
O 0.5096 0.3608 0.1762  3 Co 1.89-2.06
O 0.9529 0.8739 0.6931  1 Mn 1.94, 1 Co 2.02, 2 Li 2.11-2.12
O 0.9646 0.3753 0.4451  2 Co 1.96-1.97, 3 Li 2.07-2.13
O 0.9734 0.1111 0.3030  2 Mn 1.99, 1 Co 2.06, 2 Li 2.10-2.14
O 0.9898 0.3803 0.9419  3 Co 1.98-2.07, 3 Li 2.11-2.17
O 0.9973 0.6188 0.0584  3 Co 1.98-2.11, 3 Li 2.11-2.15

Number 1: ΔE_f -2320 meV per atom. Number 2: ΔE_f -1787 meV per atom. Number 3: ΔE_f -1816 meV per atom.